[1]
84
Lattice="5.4573 0.0000 0.0000 0.0000 17.7347 0.0000 0.0000 0.0000 11.0546" Properties=species:S:1:pos:R:3 comment="Li2H4S3O12 (PBE, relaxed)" sg="Pccn (56)" pbc="T T T"
Li 1.2508 1.7149 0.1907
Li 1.2508 7.1524 5.7180
Li 1.4778 1.7149 5.7180
Li 1.4778 7.1524 0.1907
Li 3.9795 10.5823 10.8639
Li 3.9795 16.0198 5.3366
Li 4.2064 10.5823 5.3366
Li 4.2064 16.0198 10.8639
H 0.0486 3.4991 3.6129
H 0.0486 5.3683 9.1402
H 0.6063 9.8888 8.9617
H 0.6063 16.7133 3.4345
H 2.1223 9.8888 3.4345
H 2.1223 16.7133 8.9617
H 2.6801 3.4991 9.1402
H 2.6801 5.3683 3.6129
H 2.7772 12.3664 7.4417
H 2.7772 14.2357 1.9144
H 3.3350 1.0214 2.0928
H 3.3350 7.8460 7.6201
H 4.8509 1.0214 7.6201
H 4.8509 7.8460 2.0928
H 5.4087 12.3664 1.9144
H 5.4087 14.2357 7.4417
S 1.1372 10.0238 1.5193
S 1.1372 16.5783 7.0466
S 1.3643 4.4337 2.1764
S 1.3643 4.4337 7.7037
S 1.5914 10.0238 7.0466
S 1.5914 16.5783 1.5193
S 3.8658 1.1564 9.5352
S 3.8658 7.7110 4.0079
S 4.0929 13.3011 3.3509
S 4.0929 13.3011 8.8781
S 4.3201 1.1564 4.0079
S 4.3201 7.7110 9.5352
O 0.0359 10.9352 1.1469
O 0.0359 15.6669 6.6742
O 0.1300 4.3931 3.1247
O 0.1300 4.4742 8.6520
O 0.3302 10.3218 6.3967
O 0.3302 16.2803 0.8694
O 0.7364 0.2564 6.8660
O 0.7364 8.6109 1.3387
O 1.2489 3.2068 6.9681
O 1.2489 5.6606 1.4408
O 1.2780 10.2951 3.0653
O 1.2780 16.3070 8.5926
O 1.4506 10.2951 8.5926
O 1.4506 16.3070 3.0653
O 1.4797 3.2068 1.4408
O 1.4797 5.6606 6.9681
O 1.9922 0.2564 1.3387
O 1.9922 8.6109 6.8660
O 2.3985 10.3218 0.8694
O 2.3985 16.2803 6.3967
O 2.5986 4.3931 8.6520
O 2.5986 4.4742 3.1247
O 2.6927 10.9352 6.6742
O 2.6927 15.6669 1.1469
O 2.7646 2.0678 9.9077
O 2.7646 6.7995 4.3804
O 2.8587 13.2605 7.9299
O 2.8587 13.3416 2.4026
O 3.0588 1.4544 4.6579
O 3.0588 7.4129 10.1852
O 3.4651 9.1238 4.1886
O 3.4651 17.4783 9.7159
O 3.9775 12.0742 4.0864
O 3.9775 14.5279 9.6137
O 4.0066 1.4277 7.9892
O 4.0066 7.4396 2.4620
O 4.1793 1.4277 2.4620
O 4.1793 7.4396 7.9892
O 4.2083 12.0742 9.6137
O 4.2083 14.5279 4.0864
O 4.7208 9.1238 9.7159
O 4.7208 17.4783 4.1886
O 5.1271 1.4544 10.1852
O 5.1271 7.4129 4.6579
O 5.3272 13.2605 2.4026
O 5.3272 13.3416 7.9299
O 5.4213 2.0678 4.3804
O 5.4213 6.7995 9.9077

[2]
4
Lattice="0.0000 3.8439 3.8439 3.8439 0.0000 3.8439 3.8439 3.8439 0.0000" Properties=species:S:1:pos:R:3 comment="PrHoMg2 (PBE, relaxed)" sg="Fm-3m (225)" pbc="T T T"
Pr 0.0000 0.0000 0.0000
Ho 3.8439 3.8439 3.8439
Mg 1.9220 1.9220 1.9220
Mg 5.7659 5.7659 5.7659

[3]
10
Lattice="1.9610 -10.4898 0.0000 1.9610 10.4898 0.0000 0.0000 0.0000 3.9245" Properties=species:S:1:pos:R:3 comment="ErSi3Ni (PBE, relaxed)" sg="Cmmm (65)" pbc="T T T"
Er 1.9610 6.9475 0.0000
Er 1.9610 -6.9475 0.0000
Si 1.9610 9.3108 1.9623
Si 1.9610 4.5750 1.9623
Si 1.9610 1.1777 0.0000
Si 1.9610 -1.1777 0.0000
Si 1.9610 -4.5750 1.9623
Si 1.9610 -9.3108 1.9623
Ni 1.9610 2.3249 1.9623
Ni 1.9610 -2.3249 1.9623

[4]
26
Lattice="2.6190 1.5121 8.5610 -2.6190 1.5121 8.5610 0.0000 -3.0242 8.5610" Properties=species:S:1:pos:R:3 comment="ZrScB24 (PBE, relaxed)" polymorph_energy_mev_per_atom=0.0 sg="R-3m (166)" pbc="T T T"
Zr 0.0000 0.0000 0.0000
Sc 0.0000 0.0000 12.8415
B -0.8887 -0.5131 7.8699
B 0.0000 -1.0244 4.9715
B -0.8872 0.5122 4.9715
B -0.8432 -1.5108 10.7028
B -1.7300 0.0252 10.7028
B -0.8868 -1.4857 14.9803
B -1.7300 -0.0252 14.9803
B 0.8432 -1.5108 10.7028
B -0.8868 1.4857 10.7028
B 0.8872 0.5122 4.9715
B 0.8887 -0.5131 7.8699
B 0.0000 1.0262 7.8699
B 0.0000 -1.0262 17.8132
B -0.8887 0.5131 17.8132
B -0.8872 -0.5122 20.7116
B 0.8868 -1.4857 14.9803
B -0.8432 1.5108 14.9803
B 1.7300 0.0252 10.7028
B 0.8868 1.4857 10.7028
B 1.7300 -0.0252 14.9803
B 0.8432 1.5108 14.9803
B 0.8872 -0.5122 20.7116
B 0.0000 1.0244 20.7116
B 0.8887 0.5131 17.8132

Quick rundown of DFT total energy, same order as above: -118.9 -12.9 -30.0 -180.8 eV/f.u.